! CsZr6CCl15 (PBE-GGA, optimized geometry); values from VASP
! formation energy	-50.9	kcal/mol of atoms
! total magnetization	0.013	Bohr magnetons per cell
! electronic total energy	-522.728	eV for the cell shown
&SYSTEM
  ibrav = 0, nat = 92, ntyp = 4
/
ATOMIC_SPECIES
Cs 132.91 Cs.upf
Zr 91.22 Zr.upf
C 12.01 C.upf
Cl 35.45 Cl.upf
ATOMIC_POSITIONS angstrom
Cs 4.729 3.525 1.698
Cs 4.729 10.718 1.698
Cs 14.186 3.525 8.242
Cs 14.186 10.718 8.242
Zr 0.560 1.630 8.397
Zr 0.560 12.613 8.397
Zr 2.125 0.000 0.792
Zr 3.090 5.487 6.544
Zr 3.090 8.756 6.544
Zr 4.729 7.121 4.272
Zr 4.729 7.121 8.792
Zr 6.367 5.487 6.544
Zr 6.367 8.756 6.544
Zr 7.332 0.000 0.792
Zr 8.898 1.630 8.397
Zr 8.898 12.613 8.397
Zr 10.017 1.630 1.543
Zr 10.017 12.613 1.543
Zr 11.582 0.000 9.148
Zr 12.547 5.487 3.396
Zr 12.547 8.756 3.396
Zr 14.186 7.121 1.148
Zr 14.186 7.121 5.669
Zr 15.825 5.487 3.396
Zr 15.825 8.756 3.396
Zr 16.790 0.000 9.148
Zr 18.355 1.630 1.543
Zr 18.355 12.613 1.543
C 0.000 0.000 0.000
C 4.729 7.121 6.529
C 9.457 0.000 0.000
C 14.186 7.121 3.412
Cl 0.000 3.579 0.000
Cl 0.000 10.664 0.000
Cl 1.138 7.121 6.544
Cl 1.199 3.551 6.585
Cl 1.199 10.692 6.585
Cl 1.235 0.000 6.559
Cl 1.769 1.783 2.597
Cl 1.769 12.460 2.597
Cl 2.889 5.360 3.997
Cl 2.889 8.883 3.997
Cl 2.927 5.353 9.082
Cl 2.927 8.890 9.082
Cl 2.993 1.755 9.113
Cl 2.993 12.488 9.113
Cl 4.729 0.000 1.803
Cl 4.729 3.532 6.461
Cl 4.729 7.121 1.569
Cl 4.729 10.711 6.461
Cl 6.465 1.755 9.113
Cl 6.465 12.488 9.113
Cl 6.530 5.353 9.082
Cl 6.530 8.890 9.082
Cl 6.568 5.360 3.997
Cl 6.568 8.883 3.997
Cl 7.688 1.783 2.597
Cl 7.688 12.460 2.597
Cl 8.222 0.000 6.559
Cl 8.258 3.551 6.585
Cl 8.258 10.692 6.585
Cl 8.319 7.121 6.544
Cl 9.457 3.579 0.000
Cl 9.457 10.664 0.000
Cl 10.595 7.121 3.396
Cl 10.657 3.551 3.355
Cl 10.657 10.692 3.355
Cl 10.693 0.000 3.381
Cl 11.227 1.783 7.343
Cl 11.227 12.460 7.343
Cl 12.346 5.360 5.943
Cl 12.346 8.883 5.943
Cl 12.384 5.353 0.858
Cl 12.384 8.890 0.858
Cl 12.450 1.755 0.827
Cl 12.450 12.488 0.827
Cl 14.186 0.000 8.137
Cl 14.186 3.532 3.479
Cl 14.186 7.121 8.371
Cl 14.186 10.711 3.479
Cl 15.922 1.755 0.827
Cl 15.922 12.488 0.827
Cl 15.988 5.353 0.858
Cl 15.988 8.890 0.858
Cl 16.025 5.360 5.943
Cl 16.025 8.883 5.943
Cl 17.145 1.783 7.343
Cl 17.145 12.460 7.343
Cl 17.679 0.000 3.381
Cl 17.715 3.551 3.355
Cl 17.715 10.692 3.355
Cl 17.777 7.121 3.396
CELL_PARAMETERS angstrom
18.915 0.000 0.000
0.000 14.243 0.000
0.000 0.000 9.940

=====

! Si2H2O3 (PBE-GGA, optimized geometry); values from VASP
! formation energy	-33.9	kcal/mol of atoms
! total magnetization	0.002	Bohr magnetons per cell
! electronic total energy	-407.018	eV for the cell shown
&SYSTEM
  ibrav = 0, nat = 70, ntyp = 3
/
ATOMIC_SPECIES
Si 28.09 Si.upf
H 1.01 H.upf
O 16.00 O.upf
ATOMIC_POSITIONS angstrom
Si 0.000 0.000 0.000
Si 4.002 2.728 7.947
Si 7.071 7.773 9.232
Si 5.477 7.397 1.869
Si 4.031 1.258 4.892
Si 3.237 2.727 0.521
Si 5.602 0.498 9.497
Si 7.210 5.508 5.622
Si 9.252 5.316 10.911
Si 6.358 2.886 3.401
Si 8.570 8.885 1.882
Si 10.648 8.501 6.660
Si 8.669 5.827 3.355
Si 9.770 3.815 6.830
Si 12.555 7.286 10.181
Si 10.480 1.735 8.788
Si 8.690 3.942 0.315
Si 9.471 1.509 4.150
Si 13.688 8.928 6.259
Si 11.872 5.529 4.003
H 5.296 4.516 8.410
H 7.776 7.614 11.451
H 3.879 5.590 1.369
H 5.330 2.959 5.977
H 8.748 8.676 8.223
H 7.961 5.696 8.668
H 7.703 1.480 9.493
H 9.646 8.888 4.675
H 7.518 3.135 5.392
H 12.427 9.473 11.093
H 7.485 4.047 2.372
H 12.026 9.890 7.997
H 8.520 1.731 6.340
H 7.149 0.704 3.316
H 9.107 6.599 1.220
H 10.903 8.796 1.855
H 14.297 5.864 11.070
H 12.851 7.862 3.804
H 10.968 4.519 2.117
H 15.274 9.453 7.757
O 1.745 3.510 0.469
O 7.454 8.352 10.855
O 3.306 4.770 2.388
O 5.066 8.813 1.077
O 5.217 1.952 8.821
O 4.602 2.349 6.295
O 4.425 6.209 0.691
O 7.734 6.140 9.521
O 8.335 3.965 11.271
O 4.978 2.041 3.773
O 9.675 9.147 8.126
O 6.709 3.636 5.041
O 7.323 0.576 9.570
O 9.764 9.467 5.458
O 8.400 4.864 6.663
O 8.655 8.523 0.038
O 8.923 7.056 2.097
O 9.325 2.837 8.191
O 11.993 9.699 7.013
O 10.188 9.355 2.218
O 7.551 1.561 3.616
O 8.444 4.547 2.117
O 8.906 2.387 5.705
O 10.194 5.802 3.982
O 13.363 5.968 11.360
O 13.999 7.513 9.366
O 13.506 9.758 4.799
O 10.455 0.321 7.307
O 12.949 4.330 8.134
O 12.608 7.278 3.048
CELL_PARAMETERS angstrom
8.570 0.000 0.000
4.203 9.800 0.000
4.111 0.165 11.554

=====

! Ba2UP2O10 (PBE-GGA, optimized geometry); values from VASP
! formation energy	-76.9	kcal/mol of atoms
! total magnetization	0.023	Bohr magnetons per cell
! electronic total energy	-118.576	eV for the cell shown
&SYSTEM
  ibrav = 0, nat = 15, ntyp = 4
/
ATOMIC_SPECIES
Ba 137.33 Ba.upf
U 238.03 U.upf
P 30.97 P.upf
O 16.00 O.upf
ATOMIC_POSITIONS angstrom
Ba 1.759 0.000 1.415
Ba 9.558 0.000 5.559
U 5.658 0.000 3.487
P 0.731 0.000 5.040
P 10.586 0.000 1.934
O -0.628 0.000 5.736
O 4.025 1.522 2.905
O 1.898 0.000 6.036
O 7.292 1.522 4.070
O 4.879 0.000 5.134
O 6.438 0.000 1.841
O 4.025 -1.522 2.905
O 9.419 0.000 0.939
O 7.292 -1.522 4.070
O 11.945 0.000 1.239
CELL_PARAMETERS angstrom
6.432 -2.767 0.000
6.432 2.767 0.000
-1.547 0.000 6.975

=====

! CsMg149 (PBE-GGA, optimized geometry); values from VASP
! formation energy	0.5	kcal/mol of atoms
! total magnetization	0.003	Bohr magnetons per cell
! electronic total energy	-235.929	eV for the cell shown
&SYSTEM
  ibrav = 0, nat = 150, ntyp = 2
/
ATOMIC_SPECIES
Cs 132.91 Cs.upf
Mg 24.30 Mg.upf
ATOMIC_POSITIONS angstrom
Cs 0.000 0.000 0.000
Mg 0.000 0.000 5.274
Mg 0.000 0.000 10.520
Mg 12.752 5.533 5.274
Mg 12.752 5.533 10.520
Mg 11.168 8.277 5.274
Mg 11.168 8.277 10.520
Mg -3.209 5.577 0.000
Mg -4.749 8.246 0.000
Mg -1.673 2.953 0.000
Mg -6.254 10.888 0.000
Mg 0.000 1.844 7.897
Mg -1.595 4.617 7.897
Mg -3.187 7.369 2.653
Mg -3.189 7.368 7.897
Mg -3.187 7.369 13.141
Mg -4.774 10.124 7.897
Mg -6.378 12.891 7.897
Mg -1.604 4.649 2.655
Mg -1.604 4.649 13.139
Mg -4.751 10.099 2.655
Mg -4.751 10.099 13.139
Mg 0.000 1.965 2.798
Mg 0.000 1.965 12.996
Mg -6.273 12.831 2.798
Mg -6.273 12.831 12.996
Mg 0.000 5.523 5.271
Mg 0.000 5.523 10.524
Mg -1.597 8.287 5.272
Mg -1.597 8.287 10.523
Mg -3.192 11.052 5.271
Mg -3.192 11.052 10.524
Mg -1.582 8.296 0.000
Mg 3.218 0.011 5.306
Mg 3.218 0.011 10.488
Mg 1.619 2.781 5.306
Mg 1.619 2.781 10.488
Mg 0.000 5.580 0.000
Mg -3.143 11.024 0.000
Mg 1.673 2.953 0.000
Mg -4.581 13.786 0.000
Mg 3.144 1.815 2.608
Mg 3.144 1.815 13.186
Mg 1.595 4.617 7.897
Mg 0.000 7.379 2.641
Mg 0.000 7.375 7.897
Mg 0.000 7.379 13.153
Mg -1.584 10.124 2.641
Mg -1.589 10.126 7.897
Mg -1.584 10.124 13.153
Mg -3.179 12.886 7.897
Mg 3.201 1.848 7.897
Mg 1.604 4.649 2.655
Mg 1.604 4.649 13.139
Mg -3.147 12.878 2.655
Mg -3.147 12.878 13.139
Mg 1.582 8.296 0.000
Mg 0.000 11.035 0.000
Mg 4.784 2.762 5.252
Mg 4.784 2.762 10.542
Mg 1.597 8.287 5.272
Mg 1.597 8.287 10.523
Mg 0.000 11.053 5.272
Mg 0.000 11.053 10.523
Mg 6.391 0.003 5.274
Mg 6.391 0.003 10.520
Mg 3.199 5.533 5.274
Mg 3.199 5.533 10.520
Mg 4.813 2.779 0.000
Mg 3.209 5.577 0.000
Mg -1.541 13.804 0.000
Mg 6.366 1.834 2.628
Mg 6.366 1.834 13.167
Mg 4.772 4.596 2.628
Mg 4.772 4.596 13.167
Mg 1.584 10.124 2.641
Mg 1.589 10.126 7.897
Mg 1.584 10.124 13.153
Mg 6.380 1.852 7.897
Mg 4.794 4.600 7.897
Mg 3.187 7.369 2.653
Mg 3.189 7.368 7.897
Mg 3.187 7.369 13.141
Mg 0.000 12.889 2.653
Mg 0.000 12.891 7.897
Mg 0.000 12.889 13.141
Mg 4.749 8.246 0.000
Mg 3.143 11.024 0.000
Mg 1.541 13.804 0.000
Mg 9.559 0.003 5.274
Mg 9.559 0.003 10.520
Mg 4.782 8.277 5.274
Mg 4.782 8.277 10.520
Mg 7.975 2.764 5.260
Mg 7.975 2.764 10.534
Mg 7.975 2.774 0.000
Mg 6.390 5.520 0.000
Mg 6.381 5.525 5.260
Mg 6.381 5.525 10.534
Mg 3.192 11.052 5.271
Mg 3.192 11.052 10.524
Mg 4.751 10.099 2.655
Mg 4.751 10.099 13.139
Mg 3.147 12.878 2.655
Mg 3.147 12.878 13.139
Mg 4.774 10.124 7.897
Mg 3.179 12.886 7.897
Mg 9.584 1.834 2.628
Mg 9.584 1.834 13.167
Mg 9.570 1.852 7.897
Mg 7.975 4.604 2.625
Mg 7.975 4.604 7.897
Mg 7.975 4.604 13.169
Mg 6.389 7.362 7.897
Mg 6.381 7.383 2.628
Mg 6.381 7.383 13.167
Mg 6.254 10.888 0.000
Mg 4.581 13.786 0.000
Mg 12.732 0.011 5.306
Mg 12.732 0.011 10.488
Mg 11.138 2.779 0.000
Mg 9.561 5.520 0.000
Mg 7.975 8.256 0.000
Mg 6.376 11.021 5.306
Mg 6.376 11.021 10.488
Mg 11.166 2.762 5.252
Mg 11.166 2.762 10.542
Mg 9.569 5.525 5.260
Mg 9.569 5.525 10.534
Mg 7.975 8.289 5.252
Mg 7.975 8.289 10.542
Mg 6.273 12.831 2.798
Mg 6.273 12.831 12.996
Mg 12.749 1.848 7.897
Mg 11.156 4.600 7.897
Mg 9.562 7.362 7.897
Mg 7.975 10.117 7.897
Mg 11.179 4.596 2.628
Mg 11.179 4.596 13.167
Mg 9.569 7.383 2.628
Mg 9.569 7.383 13.167
Mg 6.378 12.891 7.897
Mg 12.806 1.815 2.608
Mg 12.806 1.815 13.186
Mg 7.975 10.183 2.608
Mg 7.975 10.183 13.186
Mg 14.332 2.781 5.306
Mg 14.332 2.781 10.488
Mg 9.575 11.021 5.306
Mg 9.575 11.021 10.488
CELL_PARAMETERS angstrom
15.950 0.000 0.000
-7.975 13.813 0.000
0.000 0.000 15.794

=====

! K2LiYI6 (PBE-GGA, optimized geometry); values from VASP
! formation energy	-36.5	kcal/mol of atoms
! total magnetization	0.008	Bohr magnetons per cell
! electronic total energy	-33.302	eV for the cell shown
&SYSTEM
  ibrav = 0, nat = 10, ntyp = 4
/
ATOMIC_SPECIES
K 39.10 K.upf
Li 6.94 Li.upf
Y 88.91 Y.upf
I 126.90 I.upf
ATOMIC_POSITIONS angstrom
K 2.992 2.992 2.992
K 8.975 8.975 8.975
Li 0.000 0.000 0.000
Y 5.984 5.984 5.984
I 5.984 5.984 2.966
I 5.984 2.966 5.984
I 9.001 5.984 5.984
I 2.966 5.984 5.984
I 5.984 9.001 5.984
I 5.984 5.984 9.001
CELL_PARAMETERS angstrom
0.000 5.984 5.984
5.984 0.000 5.984
5.984 5.984 0.000

=====

! NpSn3 (PBE-GGA, optimized geometry); values from VASP
! formation energy	-3.1	kcal/mol of atoms
! electronic total energy	-25.520	eV for the cell shown
&SYSTEM
  ibrav = 0, nat = 4, ntyp = 2
/
ATOMIC_SPECIES
Np 237.00 Np.upf
Sn 118.71 Sn.upf
ATOMIC_POSITIONS angstrom
Np 0.000 0.000 0.000
Sn 0.000 2.331 2.331
Sn 2.331 0.000 2.331
Sn 2.331 2.331 0.000
CELL_PARAMETERS angstrom
4.663 0.000 0.000
0.000 4.663 0.000
0.000 0.000 4.663